Arrangement w

# Mn3P2O8

A geometry-optimized Mn3P2O8 structure (GGA+U, Materials Project).

Cell lengths 4.9557, 10.7157, 6.2585 Å; angles 90.32, 90.00, 90.00 degrees
With the nearest neighbours (Å) after each atom.
Sites, in units of the cell vectors:
Mn  0.0004  0.0001  0.5006  6 O 2.21-2.26
Mn  0.9888  0.2826  0.2344  5 O 2.13-2.26
Mn  0.0111  0.7174  0.7655  5 O 2.13-2.26
Mn  0.4996  0.5000  0.4997  6 O 2.21-2.26
Mn  0.5112  0.7826  0.2344  5 O 2.13-2.26
Mn  0.4889  0.2174  0.7655  5 O 2.13-2.26
P  0.0687  0.6012  0.2616  4 O 1.54-1.60
P  0.4314  0.1011  0.2616  4 O 1.54-1.60
P  0.5687  0.8988  0.7383  4 O 1.54-1.60
P  0.9313  0.3989  0.7383  4 O 1.54-1.60
O  0.1745  0.6809  0.0732  1 P 1.55
O  0.3256  0.1809  0.0733  1 P 1.55
O  0.6745  0.8191  0.9267  1 P 1.55
O  0.8256  0.3191  0.9267  1 P 1.55
O  0.3242  0.9649  0.2534  1 P 1.55
O  0.1758  0.4650  0.2533  1 P 1.55
O  0.8241  0.5351  0.7466  1 P 1.55
O  0.6758  0.0350  0.7466  1 P 1.55
O  0.7584  0.6078  0.2803  1 P 1.54
O  0.7416  0.1078  0.2804  1 P 1.54
O  0.2585  0.8922  0.7198  1 P 1.54
O  0.2415  0.3922  0.7197  1 P 1.54
O  0.2171  0.6608  0.4640  1 P 1.60
O  0.2829  0.1608  0.4640  1 P 1.60
O  0.7172  0.8392  0.5360  1 P 1.60
O  0.7828  0.3392  0.5360  1 P 1.60

Computed properties:
Calculated volume = 12.8 Å³/atom

---

Arrangement x

# Mn3P2O8

A geometry-optimized Mn3P2O8 structure (GGA+U, Materials Project).

Cell lengths 10.1976, 9.0792, 21.3181 Å; angles 80.89, 90.00, 90.00 degrees
With the nearest neighbours (Å) after each atom.
Sites, in units of the cell vectors:
Mn  0.2957  0.1006  0.7036  6 O 2.16-2.42
Mn  0.5841  0.7927  0.7832  5 O 2.14-2.26
Mn  0.8944  0.5998  0.6068  5 O 2.14-2.27
Mn  0.2043  0.6006  0.2036  6 O 2.16-2.42
Mn  0.8857  0.7219  0.4244  5 O 2.10-2.34
Mn  0.7798  0.7370  0.1407  5 O 2.15-2.24
Mn  0.9159  0.2927  0.2832  5 O 2.14-2.26
Mn  0.3857  0.7781  0.0756  5 O 2.10-2.34
Mn  0.2163  0.9554  0.5430  5 O 2.06-2.20
Mn  0.3874  0.1056  0.4167  5 O 2.13-2.22
Mn  0.6104  0.5432  0.2569  5 O 2.16-2.32
Mn  0.3944  0.9002  0.8932  5 O 2.14-2.27
Mn  0.0943  0.0648  0.0596  5 O 2.12-2.36
Mn  0.1056  0.4002  0.3932  5 O 2.14-2.27
Mn  0.6126  0.8944  0.5833  5 O 2.13-2.22
Mn  0.1104  0.9568  0.2431  5 O 2.16-2.32
Mn  0.4057  0.5648  0.5596  5 O 2.12-2.36
Mn  0.7163  0.5446  0.9570  5 O 2.06-2.20
Mn  0.9057  0.9352  0.9404  5 O 2.12-2.36
Mn  0.8896  0.0432  0.7569  5 O 2.16-2.32
Mn  0.1126  0.6056  0.9167  5 O 2.13-2.22
Mn  0.1143  0.2781  0.5756  5 O 2.10-2.34
Mn  0.8874  0.3944  0.0833  5 O 2.13-2.22
Mn  0.7043  0.8994  0.2964  6 O 2.16-2.42
Mn  0.4159  0.2073  0.2168  5 O 2.14-2.26
Mn  0.7202  0.2370  0.6407  5 O 2.15-2.24
Mn  0.3896  0.4568  0.7431  5 O 2.16-2.32
Mn  0.6056  0.0998  0.1068  5 O 2.14-2.27
Mn  0.0841  0.7073  0.7168  5 O 2.14-2.26
Mn  0.5943  0.4352  0.4404  5 O 2.12-2.36
Mn  0.7957  0.3994  0.7964  6 O 2.16-2.42
Mn  0.2798  0.7630  0.3593  5 O 2.15-2.24
Mn  0.7837  0.0446  0.4570  5 O 2.06-2.20
Mn  0.2837  0.4554  0.0430  5 O 2.06-2.20
Mn  0.6143  0.2219  0.9244  5 O 2.10-2.34
Mn  0.2202  0.2630  0.8593  5 O 2.15-2.24
P  0.3692  0.4496  0.3279  4 O 1.55-1.56
P  0.9432  0.2998  0.9391  4 O 1.55-1.57
P  0.8540  0.3722  0.4991  4 O 1.54-1.57
P  0.0684  0.3495  0.7181  4 O 1.55-1.56
P  0.1460  0.6278  0.5009  4 O 1.54-1.57
P  0.5684  0.1505  0.7819  4 O 1.55-1.56
P  0.5568  0.7998  0.4391  4 O 1.55-1.57
P  0.5754  0.4670  0.1056  4 O 1.55-1.56
P  0.0568  0.7002  0.0609  4 O 1.55-1.57
P  0.4432  0.2002  0.5609  4 O 1.55-1.57
P  0.8692  0.0504  0.1721  4 O 1.55-1.56
P  0.9246  0.9670  0.6056  4 O 1.55-1.56
P  0.6430  0.1920  0.3308  4 O 1.55-1.56
P  0.1308  0.9496  0.8279  4 O 1.55-1.56
P  0.3540  0.1278  0.0009  4 O 1.54-1.57
P  0.6460  0.8722  0.9991  4 O 1.54-1.57
P  0.4316  0.8495  0.2181  4 O 1.55-1.56
P  0.0754  0.0330  0.3944  4 O 1.55-1.56
P  0.4246  0.5330  0.8944  4 O 1.55-1.56
P  0.6308  0.5504  0.6721  4 O 1.55-1.56
P  0.8570  0.6920  0.8308  4 O 1.55-1.56
P  0.3570  0.8080  0.6692  4 O 1.55-1.56
P  0.9316  0.6505  0.2819  4 O 1.55-1.56
P  0.1430  0.3080  0.1692  4 O 1.55-1.56
O  0.3919  0.0896  0.5174  1 P 1.56
O  0.5515  0.7773  0.2566  1 P 1.56
O  0.5014  0.8430  0.9818  1 P 1.55
O  0.7400  0.4311  0.6913  1 P 1.56
O  0.0785  0.8985  0.7663  1 P 1.55
O  0.0515  0.7227  0.2434  1 P 1.56
O  0.4696  0.6908  0.8625  1 P 1.55
O  0.8023  0.1778  0.1253  1 P 1.56
O  0.2600  0.5689  0.3087  1 P 1.56
O  0.0405  0.0566  0.5700  1 P 1.56
O  0.9347  0.7248  0.8897  1 P 1.55
O  0.1081  0.5896  0.0174  1 P 1.56
O  0.3023  0.3222  0.3747  1 P 1.56
O  0.9485  0.2773  0.7566  1 P 1.56
O  0.1814  0.3799  0.7632  1 P 1.55
O  0.7428  0.5823  0.8533  1 P 1.56
O  0.5668  0.1262  0.5971  1 P 1.57
O  0.9422  0.6116  0.7865  1 P 1.55
O  0.8669  0.0569  0.6555  1 P 1.56
O  0.5147  0.4753  0.6423  1 P 1.55
O  0.5578  0.1116  0.2865  1 P 1.55
O  0.9595  0.9434  0.4300  1 P 1.56
O  0.6162  0.2650  0.8240  1 P 1.56
O  0.4215  0.3985  0.2663  1 P 1.55
O  0.3669  0.4431  0.8445  1 P 1.56
O  0.1977  0.8222  0.8747  1 P 1.56
O  0.6695  0.7778  0.3929  1 P 1.55
O  0.8150  0.9468  0.5572  1 P 1.55
O  0.7921  0.8379  0.7954  1 P 1.56
O  0.4853  0.5247  0.3577  1 P 1.55
O  0.1850  0.0532  0.4428  1 P 1.55
O  0.9215  0.1015  0.2337  1 P 1.55
O  0.6814  0.1201  0.7368  1 P 1.55
O  0.3186  0.8799  0.2632  1 P 1.55
O  0.2572  0.4177  0.1467  1 P 1.56
O  0.9788  0.1473  0.9787  1 P 1.55
O  0.3305  0.2222  0.6071  1 P 1.55
O  0.9662  0.5001  0.3244  1 P 1.56
O  0.2958  0.9834  0.0409  1 P 1.56
O  0.4662  0.9999  0.1756  1 P 1.56
O  0.7042  0.0166  0.9591  1 P 1.56
O  0.2586  0.2497  0.0152  1 P 1.54
O  0.5405  0.4434  0.9300  1 P 1.56
O  0.8919  0.4104  0.9826  1 P 1.56
O  0.8838  0.7650  0.3240  1 P 1.56
O  0.5304  0.3092  0.1375  1 P 1.55
O  0.9986  0.3430  0.4818  1 P 1.55
O  0.0653  0.2752  0.1103  1 P 1.55
O  0.5338  0.0001  0.8244  1 P 1.56
O  0.0578  0.3884  0.2135  1 P 1.55
O  0.7958  0.5166  0.4591  1 P 1.56
O  0.4788  0.3527  0.5213  1 P 1.55
O  0.6496  0.8816  0.0721  1 P 1.57
O  0.0014  0.6570  0.5182  1 P 1.55
O  0.7079  0.3379  0.2954  1 P 1.56
O  0.8504  0.3816  0.5721  1 P 1.57
O  0.9332  0.6262  0.0971  1 P 1.57
O  0.8305  0.2778  0.8929  1 P 1.55
O  0.4986  0.1570  0.0182  1 P 1.55
O  0.4422  0.8884  0.7135  1 P 1.55
O  0.3838  0.7350  0.1760  1 P 1.56
O  0.7600  0.9311  0.1913  1 P 1.56
O  0.5785  0.6015  0.7337  1 P 1.55
O  0.8186  0.6201  0.2368  1 P 1.55
O  0.0304  0.1908  0.3625  1 P 1.55
O  0.1695  0.7222  0.1071  1 P 1.55
O  0.4332  0.8738  0.4029  1 P 1.57
O  0.1331  0.9431  0.3445  1 P 1.56
O  0.5653  0.2248  0.3897  1 P 1.55
O  0.1496  0.6184  0.4279  1 P 1.57
O  0.6081  0.9104  0.4826  1 P 1.56
O  0.7586  0.2503  0.4848  1 P 1.54
O  0.0212  0.8527  0.0213  1 P 1.55
O  0.0338  0.4999  0.6756  1 P 1.56
O  0.7414  0.7503  0.9848  1 P 1.54
O  0.6331  0.5569  0.1555  1 P 1.56
O  0.6850  0.4468  0.0572  1 P 1.55
O  0.2042  0.4834  0.5409  1 P 1.56
O  0.9853  0.9753  0.1423  1 P 1.55
O  0.4595  0.5566  0.0700  1 P 1.56
O  0.9696  0.8092  0.6375  1 P 1.55
O  0.7572  0.0823  0.3533  1 P 1.56
O  0.4485  0.2227  0.7434  1 P 1.56
O  0.1162  0.2350  0.6760  1 P 1.56
O  0.0147  0.0247  0.8577  1 P 1.55
O  0.3150  0.5532  0.9428  1 P 1.55
O  0.2414  0.7497  0.5152  1 P 1.54
O  0.0668  0.3738  0.9029  1 P 1.57
O  0.2428  0.9177  0.6467  1 P 1.56
O  0.4347  0.7752  0.6103  1 P 1.55
O  0.2400  0.0689  0.8087  1 P 1.56
O  0.5212  0.6473  0.4787  1 P 1.55
O  0.3504  0.1184  0.9279  1 P 1.57
O  0.2079  0.1621  0.2046  1 P 1.56
O  0.2921  0.6621  0.7046  1 P 1.56
O  0.6977  0.6778  0.6253  1 P 1.56

Computed properties:
Calculated volume = 12.5 Å³/atom
Magnetic moment = 180.0 μB/cell

---

It is arrangement w that is most stable; the runner-up trails by 9 meV/atom.